No. 1
{"formula": "KMgBi", "functional": "r2SCAN", "state": "optimized geometry", "lattice_angstrom": [[4.913, 0.000, 0.000], [0.000, 4.913, 0.000], [0.000, 0.000, 8.387]], "species": ["K", "K", "Mg", "Mg", "Bi", "Bi"], "frac_coords": [[0.250, 0.250, 0.152], [0.750, 0.750, 0.848], [0.250, 0.750, 0.500], [0.750, 0.250, 0.500], [0.250, 0.250, 0.706], [0.750, 0.750, 0.294]], "space_group": "P4/nmm (129)", "e_form_ev_per_fu": -1.81, "magmom_total_mub_per_fu": 0.0}

=====

No. 2
{"formula": "K3BiO3", "functional": "r2SCAN", "state": "optimized geometry", "lattice_angstrom": [[-5.350, 5.350, 5.350], [5.350, -5.350, 5.350], [5.350, 5.350, -5.350]], "species": ["K", "K", "K", "K", "K", "K", "K", "K", "K", "K", "K", "K", "Bi", "Bi", "Bi", "Bi", "O", "O", "O", "O", "O", "O", "O", "O", "O", "O", "O", "O"], "frac_coords": [[0.000, 0.273, 0.517], [0.000, 0.517, 0.273], [0.244, 0.727, 0.727], [0.273, 0.000, 0.517], [0.273, 0.517, 0.000], [0.483, 0.483, 0.756], [0.483, 0.756, 0.483], [0.517, 0.000, 0.273], [0.517, 0.273, 0.000], [0.727, 0.244, 0.727], [0.727, 0.727, 0.244], [0.756, 0.483, 0.483], [0.000, 0.000, 0.705], [0.000, 0.705, 0.000], [0.295, 0.295, 0.295], [0.705, 0.000, 0.000], [0.000, 0.527, 0.790], [0.000, 0.790, 0.527], [0.210, 0.210, 0.737], [0.210, 0.737, 0.210], [0.263, 0.473, 0.473], [0.473, 0.263, 0.473], [0.473, 0.473, 0.263], [0.527, 0.000, 0.790], [0.527, 0.790, 0.000], [0.737, 0.210, 0.210], [0.790, 0.000, 0.527], [0.790, 0.527, 0.000]], "space_group": "I-43m (217)", "e_form_ev_per_fu": -10.67, "magmom_total_mub_per_fu": 0.0}

=====

No. 3
{"formula": "K3BiP2S8", "functional": "r2SCAN", "state": "optimized geometry", "lattice_angstrom": [[6.866, 0.000, 0.000], [0.000, 9.090, 0.000], [0.000, 0.000, 24.083]], "species": ["K", "K", "K", "K", "K", "K", "K", "K", "K", "K", "K", "K", "Bi", "Bi", "Bi", "Bi", "P", "P", "P", "P", "P", "P", "P", "P", "S", "S", "S", "S", "S", "S", "S", "S", "S", "S", "S", "S", "S", "S", "S", "S", "S", "S", "S", "S", "S", "S", "S", "S", "S", "S", "S", "S", "S", "S", "S", "S"], "frac_coords": [[0.003, 0.091, 0.285], [0.011, 0.523, 0.811], [0.015, 0.247, 0.081], [0.485, 0.753, 0.581], [0.489, 0.477, 0.311], [0.497, 0.909, 0.785], [0.503, 0.409, 0.715], [0.511, 0.977, 0.189], [0.515, 0.253, 0.919], [0.985, 0.747, 0.419], [0.989, 0.023, 0.689], [0.997, 0.591, 0.215], [0.060, 0.355, 0.552], [0.440, 0.645, 0.052], [0.560, 0.145, 0.448], [0.940, 0.855, 0.948], [0.008, 0.112, 0.844], [0.032, 0.850, 0.092], [0.468, 0.150, 0.592], [0.492, 0.888, 0.344], [0.508, 0.388, 0.156], [0.532, 0.650, 0.908], [0.968, 0.350, 0.408], [0.992, 0.612, 0.656], [0.015, 0.646, 0.570], [0.028, 0.912, 0.171], [0.033, 0.886, 0.835], [0.063, 0.623, 0.082], [0.222, 0.415, 0.446], [0.230, 0.689, 0.694], [0.241, 0.062, 0.548], [0.249, 0.208, 0.815], [0.251, 0.792, 0.315], [0.259, 0.938, 0.048], [0.270, 0.311, 0.194], [0.278, 0.585, 0.946], [0.437, 0.377, 0.582], [0.467, 0.114, 0.335], [0.472, 0.088, 0.671], [0.485, 0.354, 0.070], [0.515, 0.854, 0.430], [0.528, 0.588, 0.829], [0.533, 0.614, 0.165], [0.563, 0.877, 0.918], [0.722, 0.085, 0.554], [0.730, 0.811, 0.306], [0.741, 0.438, 0.452], [0.749, 0.292, 0.185], [0.751, 0.708, 0.685], [0.759, 0.562, 0.952], [0.770, 0.189, 0.806], [0.778, 0.915, 0.054], [0.937, 0.123, 0.418], [0.967, 0.386, 0.665], [0.972, 0.412, 0.329], [0.985, 0.146, 0.930]], "space_group": "P2_12_12_1 (19)", "e_form_ev_per_fu": -12.18, "magmom_total_mub_per_fu": 0.0}

=====

No. 4
{"formula": "KBiPb", "functional": "r2SCAN", "state": "optimized geometry", "lattice_angstrom": [[-3.312, 3.418, 4.895], [3.312, -3.418, 4.895], [3.312, 3.418, -4.895]], "species": ["K", "K", "Bi", "Bi", "Pb", "Pb"], "frac_coords": [[0.000, 0.000, 0.000], [0.749, 0.249, 0.500], [0.370, 0.610, 0.759], [0.851, 0.610, 0.241], [0.386, 0.144, 0.758], [0.386, 0.628, 0.242]], "space_group": "Imm2 (44)", "e_form_ev_per_fu": -1.07, "magmom_total_mub_per_fu": 0.0}

=====

No. 5
{"formula": "KBiS2", "functional": "r2SCAN", "state": "optimized geometry", "lattice_angstrom": [[2.063, 1.191, 7.393], [-2.063, 1.191, 7.393], [0.000, -2.382, 7.393]], "species": ["K", "Bi", "S", "S"], "frac_coords": [[0.000, 0.000, 0.000], [0.500, 0.500, 0.500], [0.237, 0.237, 0.237], [0.763, 0.763, 0.763]], "space_group": "R-3m (166)", "e_form_ev_per_fu": -3.68, "magmom_total_mub_per_fu": 0.0}

=====

No. 6
{"formula": "KBi3S5", "functional": "r2SCAN", "state": "optimized geometry", "lattice_angstrom": [[16.703, 0.000, 0.000], [0.000, 4.081, 0.000], [0.000, 0.000, 17.781]], "species": ["K", "K", "K", "K", "Bi", "Bi", "Bi", "Bi", "Bi", "Bi", "Bi", "Bi", "Bi", "Bi", "Bi", "Bi", "S", "S", "S", "S", "S", "S", "S", "S", "S", "S", "S", "S", "S", "S", "S", "S", "S", "S", "S", "S"], "frac_coords": [[0.004, 0.250, 0.219], [0.496, 0.750, 0.719], [0.504, 0.250, 0.281], [0.996, 0.750, 0.781], [0.085, 0.750, 0.433], [0.163, 0.250, 0.623], [0.243, 0.250, 0.291], [0.257, 0.750, 0.791], [0.337, 0.750, 0.123], [0.415, 0.250, 0.933], [0.585, 0.750, 0.067], [0.663, 0.250, 0.877], [0.743, 0.250, 0.209], [0.757, 0.750, 0.709], [0.837, 0.750, 0.377], [0.915, 0.250, 0.567], [0.040, 0.750, 0.598], [0.127, 0.750, 0.287], [0.140, 0.250, 0.776], [0.191, 0.250, 0.462], [0.226, 0.250, 0.142], [0.274, 0.750, 0.642], [0.309, 0.750, 0.962], [0.360, 0.750, 0.276], [0.373, 0.250, 0.787], [0.460, 0.250, 0.098], [0.540, 0.750, 0.902], [0.627, 0.750, 0.213], [0.640, 0.250, 0.724], [0.691, 0.250, 0.038], [0.726, 0.250, 0.358], [0.774, 0.750, 0.858], [0.809, 0.750, 0.538], [0.860, 0.750, 0.224], [0.873, 0.250, 0.713], [0.960, 0.250, 0.402]], "space_group": "Pnma (62)", "e_form_ev_per_fu": -5.65, "magmom_total_mub_per_fu": 0.0}

=====

No. 7
{"formula": "KSiBiS4", "functional": "r2SCAN", "state": "optimized geometry", "lattice_angstrom": [[6.525, 0.000, 0.000], [0.000, 6.766, 0.000], [-5.154, 0.000, 16.479]], "species": ["K", "K", "K", "K", "Si", "Si", "Si", "Si", "Bi", "Bi", "Bi", "Bi", "S", "S", "S", "S", "S", "S", "S", "S", "S", "S", "S", "S", "S", "S", "S", "S"], "frac_coords": [[0.223, 0.250, 0.465], [0.223, 0.250, 0.965], [0.777, 0.750, 0.035], [0.777, 0.750, 0.535], [0.291, 0.733, 0.343], [0.291, 0.767, 0.843], [0.709, 0.233, 0.157], [0.709, 0.267, 0.657], [0.262, 0.196, 0.721], [0.262, 0.304, 0.221], [0.738, 0.696, 0.779], [0.738, 0.804, 0.279], [0.086, 0.749, 0.417], [0.086, 0.751, 0.917], [0.099, 0.686, 0.219], [0.099, 0.814, 0.719], [0.483, 0.509, 0.858], [0.483, 0.991, 0.358], [0.487, 0.502, 0.632], [0.487, 0.998, 0.132], [0.513, 0.002, 0.868], [0.513, 0.498, 0.368], [0.517, 0.009, 0.642], [0.517, 0.491, 0.142], [0.901, 0.186, 0.281], [0.901, 0.314, 0.781], [0.914, 0.249, 0.083], [0.914, 0.251, 0.583]], "space_group": "P2_1/c (14)", "e_form_ev_per_fu": -6.38, "magmom_total_mub_per_fu": 0.0}

=====

No. 8
{"formula": "La4Bi3", "functional": "r2SCAN", "state": "optimized geometry", "lattice_angstrom": [[-4.961, 4.961, 4.961], [4.961, -4.961, 4.961], [4.961, 4.961, -4.961]], "species": ["La", "La", "La", "La", "La", "La", "La", "La", "Bi", "Bi", "Bi", "Bi", "Bi", "Bi"], "frac_coords": [[0.000, 0.359, 0.500], [0.000, 0.859, 0.500], [0.141, 0.141, 0.141], [0.359, 0.500, 0.000], [0.500, 0.000, 0.359], [0.500, 0.000, 0.859], [0.641, 0.641, 0.641], [0.859, 0.500, 0.000], [0.125, 0.750, 0.875], [0.250, 0.625, 0.375], [0.375, 0.250, 0.625], [0.625, 0.375, 0.250], [0.750, 0.875, 0.125], [0.875, 0.125, 0.750]], "space_group": "I-43d (220)", "e_form_ev_per_fu": -7.75, "magmom_total_mub_per_fu": 2.8}

=====

No. 9
{"formula": "La2Bi", "functional": "r2SCAN", "state": "optimized geometry", "lattice_angstrom": [[-2.350, 2.350, 9.374], [2.350, -2.350, 9.374], [2.350, 2.350, -9.374]], "species": ["La", "La", "La", "La", "Bi", "Bi"], "frac_coords": [[0.000, 0.500, 0.500], [0.181, 0.181, 0.000], [0.500, 0.000, 0.500], [0.819, 0.819, 0.000], [0.363, 0.363, 0.000], [0.637, 0.637, 0.000]], "space_group": "I4/mmm (139)", "e_form_ev_per_fu": -2.73, "magmom_total_mub_per_fu": 0.9}

=====

No. 10
{"formula": "LaBi", "functional": "r2SCAN", "state": "optimized geometry", "lattice_angstrom": [[0.000, 3.332, 3.332], [3.332, 0.000, 3.332], [3.332, 3.332, 0.000]], "species": ["La", "Bi"], "frac_coords": [[0.000, 0.000, 0.000], [0.500, 0.500, 0.500]], "space_group": "Fm-3m (225)", "e_form_ev_per_fu": -2.59, "magmom_total_mub_per_fu": 0.0}

=====

No. 11
{"formula": "LaBi3", "functional": "r2SCAN", "state": "optimized geometry", "lattice_angstrom": [[5.012, 0.000, 0.000], [0.000, 5.012, 0.000], [0.000, 0.000, 5.012]], "species": ["La", "Bi", "Bi", "Bi"], "frac_coords": [[0.000, 0.000, 0.000], [0.000, 0.500, 0.500], [0.500, 0.000, 0.500], [0.500, 0.500, 0.000]], "space_group": "Pm-3m (221)", "e_form_ev_per_fu": -2.33, "magmom_total_mub_per_fu": 0.0}

=====

No. 12
{"formula": "La5Bi3", "functional": "r2SCAN", "state": "optimized geometry", "lattice_angstrom": [[9.743, 0.000, 0.000], [-4.872, 8.438, 0.000], [0.000, 0.000, 6.751]], "species": ["La", "La", "La", "La", "La", "La", "La", "La", "La", "La", "Bi", "Bi", "Bi", "Bi", "Bi", "Bi"], "frac_coords": [[0.000, 0.252, 0.250], [0.000, 0.748, 0.750], [0.252, 0.000, 0.250], [0.252, 0.252, 0.750], [0.333, 0.667, 0.000], [0.333, 0.667, 0.500], [0.667, 0.333, 0.000], [0.667, 0.333, 0.500], [0.748, 0.000, 0.750], [0.748, 0.748, 0.250], [0.000, 0.384, 0.750], [0.000, 0.616, 0.250], [0.384, 0.000, 0.750], [0.384, 0.384, 0.250], [0.616, 0.000, 0.250], [0.616, 0.616, 0.750]], "space_group": "P6_3/mcm (193)", "e_form_ev_per_fu": -7.94, "magmom_total_mub_per_fu": 1.5}

=====

No. 13
{"formula": "La3Ni3Bi4", "functional": "r2SCAN", "state": "optimized geometry", "lattice_angstrom": [[-4.977, 4.977, 4.977], [4.977, -4.977, 4.977], [4.977, 4.977, -4.977]], "species": ["La", "La", "La", "La", "La", "La", "Ni", "Ni", "Ni", "Ni", "Ni", "Ni", "Bi", "Bi", "Bi", "Bi", "Bi", "Bi", "Bi", "Bi"], "frac_coords": [[0.125, 0.875, 0.250], [0.250, 0.125, 0.875], [0.375, 0.625, 0.750], [0.625, 0.750, 0.375], [0.750, 0.375, 0.625], [0.875, 0.250, 0.125], [0.125, 0.750, 0.875], [0.250, 0.625, 0.375], [0.375, 0.250, 0.625], [0.625, 0.375, 0.250], [0.750, 0.875, 0.125], [0.875, 0.125, 0.750], [0.000, 0.150, 0.500], [0.000, 0.650, 0.500], [0.150, 0.500, 0.000], [0.350, 0.350, 0.350], [0.500, 0.000, 0.150], [0.500, 0.000, 0.650], [0.650, 0.500, 0.000], [0.850, 0.850, 0.850]], "space_group": "I-43d (220)", "e_form_ev_per_fu": -6.96, "magmom_total_mub_per_fu": 0.0}

=====

No. 14
{"formula": "La2Bi2O7", "functional": "r2SCAN", "state": "optimized geometry", "lattice_angstrom": [[0.000, 5.587, 5.587], [5.587, 0.000, 5.587], [5.587, 5.587, 0.000]], "species": ["La", "La", "La", "La", "Bi", "Bi", "Bi", "Bi", "O", "O", "O", "O", "O", "O", "O", "O", "O", "O", "O", "O", "O", "O"], "frac_coords": [[0.000, 0.000, 0.000], [0.000, 0.000, 0.500], [0.000, 0.500, 0.000], [0.500, 0.000, 0.000], [0.000, 0.500, 0.500], [0.500, 0.000, 0.500], [0.500, 0.500, 0.000], [0.500, 0.500, 0.500], [0.125, 0.125, 0.125], [0.158, 0.158, 0.592], [0.158, 0.592, 0.158], [0.158, 0.592, 0.592], [0.408, 0.408, 0.842], [0.408, 0.842, 0.408], [0.408, 0.842, 0.842], [0.592, 0.158, 0.158], [0.592, 0.158, 0.592], [0.592, 0.592, 0.158], [0.842, 0.408, 0.408], [0.842, 0.408, 0.842], [0.842, 0.842, 0.408], [0.875, 0.875, 0.875]], "space_group": "Fd-3m (227)", "e_form_ev_per_fu": -25.70, "magmom_total_mub_per_fu": 0.6}

=====

No. 15
{"formula": "La8Bi3Sb3", "functional": "r2SCAN", "state": "optimized geometry", "lattice_angstrom": [[6.929, -4.899, 0.000], [6.929, 4.899, 0.000], [-6.909, 0.000, 6.934]], "species": ["La", "La", "La", "La", "La", "La", "La", "La", "Bi", "Bi", "Bi", "Sb", "Sb", "Sb"], "frac_coords": [[0.068, 0.571, 0.888], [0.073, 0.073, 0.396], [0.219, 0.434, 0.259], [0.429, 0.932, 0.112], [0.564, 0.287, 0.741], [0.566, 0.781, 0.741], [0.713, 0.436, 0.259], [0.927, 0.927, 0.604], [0.322, 0.180, 0.878], [0.820, 0.678, 0.122], [0.942, 0.058, 0.000], [0.195, 0.557, 0.627], [0.443, 0.805, 0.373], [0.697, 0.303, 0.500]], "space_group": "C2 (5)", "e_form_ev_per_fu": -17.00, "magmom_total_mub_per_fu": 0.0}

=====

No. 16
{"formula": "La3ScBi5", "functional": "r2SCAN", "state": "optimized geometry", "lattice_angstrom": [[9.900, 0.000, 0.000], [-4.950, 8.573, 0.000], [0.000, 0.000, 6.562]], "species": ["La", "La", "La", "La", "La", "La", "Sc", "Sc", "Bi", "Bi", "Bi", "Bi", "Bi", "Bi", "Bi", "Bi", "Bi", "Bi"], "frac_coords": [[0.000, 0.379, 0.250], [0.000, 0.621, 0.750], [0.379, 0.000, 0.250], [0.379, 0.379, 0.750], [0.621, 0.000, 0.750], [0.621, 0.621, 0.250], [0.000, 0.000, 0.000], [0.000, 0.000, 0.500], [0.000, 0.258, 0.750], [0.000, 0.742, 0.250], [0.258, 0.000, 0.750], [0.258, 0.258, 0.250], [0.333, 0.667, 0.000], [0.333, 0.667, 0.500], [0.667, 0.333, 0.000], [0.667, 0.333, 0.500], [0.742, 0.000, 0.250], [0.742, 0.742, 0.750]], "space_group": "P6_3/mcm (193)", "e_form_ev_per_fu": -9.33, "magmom_total_mub_per_fu": 0.0}

=====

No. 17
{"formula": "La4SnBi2", "functional": "r2SCAN", "state": "optimized geometry", "lattice_angstrom": [[-4.936, 4.936, 4.966], [4.936, -4.936, 4.966], [4.936, 4.936, -4.966]], "species": ["La", "La", "La", "La", "La", "La", "La", "La", "Sn", "Sn", "Bi", "Bi", "Bi", "Bi"], "frac_coords": [[0.117, 0.233, 0.748], [0.119, 0.735, 0.752], [0.265, 0.017, 0.385], [0.485, 0.369, 0.252], [0.631, 0.883, 0.115], [0.633, 0.881, 0.615], [0.767, 0.515, 0.885], [0.983, 0.367, 0.248], [0.000, 0.000, 0.000], [0.750, 0.250, 0.500], [0.253, 0.625, 0.128], [0.375, 0.503, 0.628], [0.497, 0.125, 0.872], [0.875, 0.747, 0.372]], "space_group": "I-42d (122)", "e_form_ev_per_fu": -7.39, "magmom_total_mub_per_fu": 1.9}